# 1
AgIO4 | PBE | optimized geometry

```
AgIO4
1.0
-2.725 2.725 6.066
2.725 -2.725 6.066
2.725 2.725 -6.066
Ag I O
2 2 8
direct
0.375 0.125 0.250 Ag
0.625 0.875 0.750 Ag
0.125 0.375 0.750 I
0.875 0.625 0.250 I
0.059 0.694 0.840 O
0.194 0.854 0.636 O
0.282 0.441 0.136 O
0.354 0.218 0.660 O
0.646 0.782 0.340 O
0.718 0.559 0.864 O
0.806 0.146 0.364 O
0.941 0.306 0.160 O
```

Output
Space group: I4_1/a, No. 88
Formation energy from the elements (meV/atom): -546
Total moment (μB per formula unit): 0.0
Energy (eV per atom): -4.11

# 2
AgIO3 | PBE | optimized geometry

```
AgIO3
1.0
6.646 0.000 0.000
0.000 8.445 0.000
0.000 0.000 5.915
Ag I O
4 4 12
direct
0.000 0.000 0.000 Ag
0.000 0.500 0.000 Ag
0.500 0.000 0.500 Ag
0.500 0.500 0.500 Ag
0.018 0.250 0.488 I
0.482 0.750 0.988 I
0.518 0.250 0.012 I
0.982 0.750 0.512 I
0.102 0.250 0.785 O
0.167 0.086 0.367 O
0.167 0.414 0.367 O
0.333 0.586 0.867 O
0.333 0.914 0.867 O
0.398 0.750 0.285 O
0.602 0.250 0.715 O
0.667 0.086 0.133 O
0.667 0.414 0.133 O
0.833 0.586 0.633 O
0.833 0.914 0.633 O
0.898 0.750 0.215 O
```

Output
Space group: Pnma, No. 62
Formation energy from the elements (meV/atom): -688
Total moment (μB per formula unit): 0.0
Energy (eV per atom): -4.12

# 3
Ag2IO6 | PBE | optimized geometry

```
Ag2IO6
1.0
2.874 1.659 4.868
-2.874 1.659 4.868
0.000 -3.318 4.868
Ag I O
2 1 6
direct
0.209 0.209 0.209 Ag
0.791 0.791 0.791 Ag
0.000 0.000 0.000 I
0.075 0.347 0.819 O
0.181 0.925 0.653 O
0.347 0.819 0.075 O
0.653 0.181 0.925 O
0.819 0.075 0.347 O
0.925 0.653 0.181 O
```

Output
Space group: R-3, No. 148
Formation energy from the elements (meV/atom): -397
Total moment (μB per formula unit): 1.0
E above lowest polymorph (meV/atom): 0
Energy (eV per atom): -4.04

# 4
AgPdI3O9 | PBE | optimized geometry

```
AgPdI3O9
1.0
7.473 0.000 0.000
1.109 8.121 0.000
2.063 3.763 7.668
Ag Pd I O
2 2 6 18
direct
0.182 0.326 0.339 Ag
0.818 0.674 0.661 Ag
0.500 0.500 0.000 Pd
0.500 0.500 0.500 Pd
0.194 0.783 0.286 I
0.221 0.294 0.897 I
0.249 0.855 0.733 I
0.751 0.145 0.267 I
0.779 0.706 0.103 I
0.806 0.217 0.714 I
0.031 0.733 0.814 O
0.051 0.177 0.637 O
0.170 0.664 0.159 O
0.184 0.052 0.992 O
0.228 0.567 0.487 O
0.285 0.940 0.499 O
0.360 0.277 0.057 O
0.409 0.642 0.770 O
0.422 0.278 0.728 O
0.578 0.722 0.272 O
0.591 0.358 0.230 O
0.640 0.723 0.943 O
0.715 0.060 0.501 O
0.772 0.433 0.513 O
0.816 0.948 0.008 O
0.830 0.336 0.841 O
0.949 0.823 0.363 O
0.969 0.267 0.186 O
```

Output
Space group: P-1, No. 2
Formation energy from the elements (meV/atom): -738
Total moment (μB per formula unit): 0.0
Energy (eV per atom): -4.38

# 5
Ag3TeIO4 | PBE | optimized geometry

```
Ag3TeIO4
1.0
19.993 0.000 0.000
0.000 7.263 0.000
-1.834 0.000 13.440
Ag Te I O
36 12 12 48
direct
0.010 0.024 0.388 Ag
0.010 0.476 0.888 Ag
0.065 0.055 0.038 Ag
0.065 0.445 0.538 Ag
0.141 0.669 0.349 Ag
0.141 0.831 0.849 Ag
0.143 0.202 0.258 Ag
0.143 0.298 0.758 Ag
0.301 0.672 0.894 Ag
0.301 0.828 0.394 Ag
0.304 0.166 0.777 Ag
0.304 0.334 0.277 Ag
0.371 0.510 0.102 Ag
0.371 0.990 0.602 Ag
0.417 0.136 0.969 Ag
0.417 0.364 0.469 Ag
0.418 0.632 0.742 Ag
0.418 0.868 0.242 Ag
0.582 0.132 0.758 Ag
0.582 0.368 0.258 Ag
0.583 0.636 0.531 Ag
0.583 0.864 0.031 Ag
0.629 0.010 0.398 Ag
0.629 0.490 0.898 Ag
0.696 0.666 0.723 Ag
0.696 0.834 0.223 Ag
0.699 0.172 0.606 Ag
0.699 0.328 0.106 Ag
0.857 0.702 0.242 Ag
0.857 0.798 0.742 Ag
0.859 0.169 0.151 Ag
0.859 0.331 0.651 Ag
0.935 0.555 0.462 Ag
0.935 0.945 0.962 Ag
0.990 0.524 0.112 Ag
0.990 0.976 0.612 Ag
0.159 0.510 0.055 Te
0.159 0.990 0.555 Te
0.244 0.654 0.649 Te
0.244 0.846 0.149 Te
0.246 0.173 0.000 Te
0.246 0.327 0.500 Te
0.754 0.673 0.500 Te
0.754 0.827 0.000 Te
0.756 0.154 0.851 Te
0.756 0.346 0.351 Te
0.841 0.010 0.445 Te
0.841 0.490 0.945 Te
0.016 0.100 0.828 I
0.016 0.400 0.328 I
0.439 0.746 0.974 I
0.439 0.754 0.474 I
0.440 0.241 0.751 I
0.440 0.259 0.251 I
0.560 0.741 0.749 I
0.560 0.759 0.249 I
0.561 0.246 0.526 I
0.561 0.254 0.026 I
0.984 0.600 0.672 I
0.984 0.900 0.172 I
0.094 0.136 0.611 O
0.094 0.364 0.111 O
0.095 0.654 0.969 O
0.095 0.846 0.469 O
0.168 0.676 0.175 O
0.168 0.824 0.675 O
0.172 0.159 0.441 O
0.172 0.341 0.941 O
0.180 0.009 0.060 O
0.180 0.491 0.560 O
0.232 0.515 0.764 O
0.232 0.985 0.264 O
0.234 0.159 0.616 O
0.234 0.341 0.116 O
0.236 0.677 0.029 O
0.236 0.823 0.529 O
0.237 0.031 0.882 O
0.237 0.469 0.382 O
0.308 0.009 0.089 O
0.308 0.491 0.589 O
0.318 0.705 0.214 O
0.318 0.795 0.714 O
0.321 0.186 0.469 O
0.321 0.314 0.969 O
0.679 0.686 0.031 O
0.679 0.814 0.531 O
0.682 0.205 0.286 O
0.682 0.295 0.786 O
0.692 0.509 0.411 O
0.692 0.991 0.911 O
0.763 0.531 0.618 O
0.763 0.969 0.118 O
0.764 0.177 0.471 O
0.764 0.323 0.971 O
0.766 0.659 0.884 O
0.766 0.841 0.384 O
0.768 0.015 0.736 O
0.768 0.485 0.236 O
0.820 0.509 0.440 O
0.820 0.991 0.940 O
0.828 0.659 0.059 O
0.828 0.841 0.559 O
0.832 0.176 0.325 O
0.832 0.324 0.825 O
0.905 0.154 0.531 O
0.905 0.346 0.031 O
0.906 0.636 0.889 O
0.906 0.864 0.389 O
```

Output
Space group: P2_1/c, No. 14
Formation energy from the elements (meV/atom): -809
Total moment (μB per formula unit): 0.0
Energy (eV per atom): -4.17

# 6
YAgI4O12 | PBE | optimized geometry

```
YAgI4O12
1.0
15.903 -2.822 0.000
15.903 2.822 0.000
-0.215 0.000 12.683
Y Ag I O
4 4 16 48
direct
0.192 0.808 0.500 Y
0.418 0.993 0.005 Y
0.808 0.192 0.000 Y
0.993 0.418 0.505 Y
0.379 0.799 0.885 Ag
0.396 0.929 0.298 Ag
0.799 0.379 0.385 Ag
0.929 0.396 0.798 Ag
0.022 0.541 0.914 I
0.060 0.708 0.368 I
0.136 0.506 0.642 I
0.187 0.659 0.098 I
0.262 0.859 0.203 I
0.279 0.683 0.794 I
0.376 0.865 0.546 I
0.506 0.136 0.142 I
0.527 0.923 0.711 I
0.541 0.022 0.414 I
0.659 0.187 0.598 I
0.683 0.279 0.294 I
0.708 0.060 0.868 I
0.859 0.262 0.703 I
0.865 0.376 0.046 I
0.923 0.527 0.211 I
0.023 0.911 0.124 O
0.089 0.112 0.249 O
0.095 0.286 0.135 O
0.096 0.936 0.862 O
0.112 0.089 0.749 O
0.125 0.160 0.961 O
0.153 0.957 0.066 O
0.160 0.125 0.461 O
0.172 0.300 0.887 O
0.208 0.335 0.581 O
0.286 0.095 0.635 O
0.300 0.172 0.387 O
0.320 0.323 0.761 O
0.323 0.320 0.261 O
0.335 0.208 0.081 O
0.336 0.379 0.560 O
0.342 0.681 0.672 O
0.360 0.495 0.223 O
0.379 0.336 0.060 O
0.396 0.747 0.470 O
0.420 0.480 0.010 O
0.444 0.565 0.355 O
0.480 0.420 0.510 O
0.495 0.360 0.723 O
0.517 0.871 0.830 O
0.545 0.650 0.192 O
0.565 0.444 0.855 O
0.619 0.787 0.163 O
0.649 0.649 0.483 O
0.649 0.649 0.983 O
0.650 0.545 0.692 O
0.681 0.342 0.172 O
0.718 0.838 0.293 O
0.721 0.790 0.505 O
0.747 0.396 0.970 O
0.787 0.619 0.663 O
0.790 0.721 0.005 O
0.838 0.718 0.793 O
0.844 0.854 0.952 O
0.854 0.844 0.452 O
0.871 0.517 0.330 O
0.877 0.991 0.923 O
0.879 0.883 0.247 O
0.883 0.879 0.747 O
0.911 0.023 0.624 O
0.936 0.096 0.362 O
0.957 0.153 0.566 O
0.991 0.877 0.423 O
```

Output
Space group: Cc, No. 9
Formation energy from the elements (meV/atom): -1269
Total moment (μB per formula unit): 0.0
Energy (eV per atom): -4.96

# 7
Ag2PbI4 | PBE | optimized geometry

```
Ag2PbI4
1.0
-3.188 3.188 6.280
3.188 -3.188 6.280
3.188 3.188 -6.280
Ag Pb I
2 1 4
direct
0.250 0.750 0.500 Ag
0.750 0.250 0.500 Ag
0.000 0.000 0.000 Pb
0.000 0.500 0.500 I
0.255 0.255 0.000 I
0.500 0.000 0.500 I
0.745 0.745 0.000 I
```

Output
Space group: I4/mmm, No. 139
Formation energy from the elements (meV/atom): -561
Total moment (μB per formula unit): 0.0
Energy (eV per atom): -2.56

# 8
Rb2PrAgI6 | PBE | optimized geometry

```
Rb2PrAgI6
1.0
0.000 6.164 6.164
6.164 0.000 6.164
6.164 6.164 0.000
Rb Pr Ag I
2 1 1 6
direct
0.250 0.250 0.250 Rb
0.750 0.750 0.750 Rb
0.000 0.000 0.000 Pr
0.500 0.500 0.500 Ag
0.254 0.254 0.746 I
0.254 0.746 0.254 I
0.254 0.746 0.746 I
0.746 0.254 0.254 I
0.746 0.254 0.746 I
0.746 0.746 0.254 I
```

Output
Space group: Fm-3m, No. 225
Formation energy from the elements (meV/atom): -1414
Total moment (μB per formula unit): 0.0
Energy (eV per atom): -3.06